A plane-wave DFT calculation with r²SCAN was carried out for a relaxed Yb2InSn crystal.

Lattice parameters (Å, degrees): 5.242 5.242 5.242 60.00 60.00 60.00
Sites, in units of the cell vectors:
In (0.500, 0.500, 0.500)
Yb (0.750, 0.750, 0.750)
Yb (0.250, 0.250, 0.250)
Sn (0.000, 0.000, 0.000)

Calculated values
Total moment (μB per formula unit): 0.00
E_form (eV per atom): -0.527
Total energy (eV per formula unit): -122.492

***

A plane-wave DFT calculation with r²SCAN was carried out for a relaxed Y2Cl3 crystal.

Lattice parameters (Å, degrees): 3.853 7.872 9.567 70.68 78.38 75.84
Sites, in units of the cell vectors:
Cl (0.659, 0.190, 0.492)
Cl (0.341, 0.810, 0.508)
Cl (0.229, 0.660, 0.882)
Cl (0.952, 0.359, 0.737)
Cl (0.771, 0.340, 0.118)
Cl (0.048, 0.641, 0.263)
Y (0.589, 0.773, 0.049)
Y (0.137, 0.017, 0.708)
Y (0.863, 0.983, 0.292)
Y (0.411, 0.227, 0.951)

Calculated values
Total moment (μB per formula unit): 0.00
E_form (eV per atom): -2.093
Total energy (eV per formula unit): -69.548

***

A plane-wave DFT calculation with r²SCAN was carried out for a relaxed Pu2Se3 crystal.

Lattice parameters (Å, degrees): 11.308 4.100 11.203 90.00 90.00 90.00
Sites, in units of the cell vectors:
Pu (0.993, 0.250, 0.314)
Pu (0.189, 0.750, 0.008)
Pu (0.811, 0.250, 0.992)
Pu (0.507, 0.750, 0.814)
Pu (0.689, 0.750, 0.492)
Pu (0.311, 0.250, 0.508)
Pu (0.007, 0.750, 0.686)
Pu (0.493, 0.250, 0.186)
Se (0.729, 0.250, 0.302)
Se (0.949, 0.750, 0.129)
Se (0.621, 0.750, 0.053)
Se (0.229, 0.250, 0.198)
Se (0.121, 0.750, 0.447)
Se (0.379, 0.250, 0.947)
Se (0.449, 0.750, 0.371)
Se (0.551, 0.250, 0.629)
Se (0.879, 0.250, 0.553)
Se (0.051, 0.250, 0.871)
Se (0.271, 0.750, 0.698)
Se (0.771, 0.750, 0.802)

Calculated values
Total moment (μB per formula unit): 10.00
E_form (eV per atom): -1.991
Total energy (eV per formula unit): -225.601

***

A plane-wave DFT calculation with r²SCAN was carried out for a relaxed NbGe2 crystal.

Lattice parameters (Å, degrees): 4.989 4.989 6.784 90.00 90.00 120.00
Sites, in units of the cell vectors:
Ge (0.326, 0.163, 0.167)
Ge (0.674, 0.837, 0.167)
Ge (0.163, 0.837, 0.833)
Ge (0.163, 0.326, 0.500)
Ge (0.837, 0.163, 0.833)
Ge (0.837, 0.674, 0.500)
Nb (0.500, 0.000, 0.500)
Nb (0.000, 0.500, 0.167)
Nb (0.500, 0.500, 0.833)

Calculated values
Total moment (μB per formula unit): 0.00
E_form (eV per atom): -0.326
Total energy (eV per formula unit): -53.456

***

A plane-wave DFT calculation with r²SCAN was carried out for a relaxed EuCN2 crystal.

Lattice parameters (Å, degrees): 3.895 12.225 5.416 90.00 90.00 90.00
Sites, in units of the cell vectors:
C (0.250, 0.622, 0.116)
C (0.250, 0.122, 0.384)
C (0.750, 0.878, 0.616)
C (0.750, 0.378, 0.884)
Eu (0.750, 0.632, 0.615)
Eu (0.750, 0.132, 0.885)
Eu (0.250, 0.868, 0.115)
Eu (0.250, 0.368, 0.385)
N (0.250, 0.576, 0.319)
N (0.250, 0.171, 0.584)
N (0.750, 0.829, 0.416)
N (0.750, 0.329, 0.084)
N (0.750, 0.924, 0.819)
N (0.750, 0.424, 0.681)
N (0.250, 0.076, 0.181)
N (0.250, 0.671, 0.916)

Calculated values
Total moment (μB per formula unit): 7.00
E_form (eV per atom): -0.964
Total energy (eV per formula unit): -70.581

***

A plane-wave DFT calculation with r²SCAN was carried out for a relaxed CsGaSe3 crystal.

Lattice parameters (Å, degrees): 13.152 6.773 7.815 73.90 90.00 90.00
Sites, in units of the cell vectors:
Se (0.422, 0.347, 0.707)
Se (0.325, 0.638, 0.553)
Se (0.327, 0.814, 0.995)
Se (0.922, 0.153, 0.293)
Se (0.173, 0.314, 0.995)
Se (0.825, 0.862, 0.447)
Se (0.673, 0.186, 0.005)
Se (0.827, 0.686, 0.005)
Se (0.578, 0.653, 0.293)
Se (0.675, 0.362, 0.447)
Se (0.078, 0.847, 0.707)
Se (0.175, 0.138, 0.553)
Ga (0.772, 0.355, 0.183)
Ga (0.272, 0.145, 0.817)
Ga (0.728, 0.855, 0.183)
Ga (0.228, 0.645, 0.817)
Cs (0.081, 0.715, 0.253)
Cs (0.581, 0.785, 0.747)
Cs (0.419, 0.215, 0.253)
Cs (0.919, 0.285, 0.747)

Calculated values
Total moment (μB per formula unit): 0.00
E_form (eV per atom): -0.938
Total energy (eV per formula unit): -84.174

***

A plane-wave DFT calculation with r²SCAN was carried out for a relaxed SiO2 crystal.

Lattice parameters (Å, degrees): 11.068 11.068 11.068 101.63 101.63 126.65
Sites, in units of the cell vectors:
O (0.188, 0.943, 0.755)
O (0.897, 0.397, 0.794)
O (0.103, 0.897, 0.500)
O (0.877, 0.701, 0.578)
O (0.568, 0.812, 0.755)
O (0.123, 0.299, 0.422)
O (0.877, 0.299, 0.176)
O (0.397, 0.603, 0.500)
O (0.299, 0.877, 0.176)
O (0.644, 0.987, 0.000)
O (0.644, 0.644, 0.657)
O (0.299, 0.123, 0.422)
O (0.356, 0.356, 0.343)
O (0.812, 0.057, 0.245)
O (0.013, 0.013, 0.657)
O (0.356, 0.013, 0.000)
O (0.188, 0.432, 0.245)
O (0.603, 0.397, 0.500)
O (0.397, 0.897, 0.794)
O (0.013, 0.356, 0.000)
O (0.987, 0.644, 0.000)
O (0.701, 0.877, 0.578)
O (0.897, 0.103, 0.500)
O (0.123, 0.701, 0.824)
O (0.987, 0.987, 0.343)
O (0.701, 0.123, 0.824)
O (0.432, 0.188, 0.245)
O (0.103, 0.603, 0.206)
O (0.057, 0.812, 0.245)
O (0.603, 0.103, 0.206)
O (0.812, 0.568, 0.755)
O (0.943, 0.188, 0.755)
Si (0.578, 0.734, 0.622)
Si (0.422, 0.266, 0.378)
Si (0.955, 0.578, 0.843)
Si (0.112, 0.955, 0.378)
Si (0.734, 0.112, 0.157)
Si (0.266, 0.422, 0.378)
Si (0.888, 0.045, 0.622)
Si (0.112, 0.734, 0.157)
Si (0.888, 0.266, 0.843)
Si (0.578, 0.955, 0.843)
Si (0.422, 0.045, 0.157)
Si (0.045, 0.888, 0.622)
Si (0.045, 0.422, 0.157)
Si (0.955, 0.112, 0.378)
Si (0.266, 0.888, 0.843)
Si (0.734, 0.578, 0.622)

Calculated values
Total moment (μB per formula unit): 0.00
E_form (eV per atom): -3.017
Total energy (eV per formula unit): -29.769

***

A plane-wave DFT calculation with r²SCAN was carried out for a relaxed NdSe2 crystal.

Lattice parameters (Å, degrees): 4.198 8.433 8.523 89.85 90.00 90.00
Sites, in units of the cell vectors:
Nd (0.279, 0.373, 0.275)
Nd (0.721, 0.627, 0.725)
Nd (0.221, 0.873, 0.275)
Nd (0.779, 0.127, 0.725)
Se (0.257, 0.375, 0.632)
Se (0.757, 0.125, 0.368)
Se (0.180, 0.617, 0.998)
Se (0.680, 0.883, 0.002)
Se (0.820, 0.383, 0.002)
Se (0.320, 0.117, 0.998)
Se (0.743, 0.625, 0.368)
Se (0.243, 0.875, 0.632)

Calculated values
Total moment (μB per formula unit): 0.00
E_form (eV per atom): -1.887
Total energy (eV per formula unit): -63.703